# 1
This record from Materials Project describes a relaxed structure of TiNb3Se6. The functional is r2SCAN.

Computed properties:
Theoretical density: 6.4 g cm⁻³
Formation enthalpy at 0 K: -1136 meV per atom
Spin magnetization: 2.0 μB/cell
Final energy: -368.73 eV per cell

Geometry as POSCAR:
```
TiNb3Se6
1.0
-2.6481 5.4377 -0.4123
2.1613 -2.7047 -4.9770
-11.5962 -5.7907 -1.8886
Ti Nb Se
2 6 12
Direct
0.3330 0.6665 0.2500
0.6670 0.3335 0.7500
0.0000 0.9999 0.5000
0.0000 0.0001 0.0000
0.3324 0.6658 0.9998
0.6676 0.3334 0.0001
0.6676 0.3342 0.4999
0.3324 0.6666 0.5002
0.3331 0.3311 0.3729
0.6698 0.0029 0.3724
0.9968 0.6670 0.3722
0.3301 0.3331 0.6277
0.0032 0.6703 0.6279
0.6669 0.9980 0.6272
0.6669 0.6690 0.8728
0.3301 0.9970 0.8723
0.0033 0.3330 0.8721
0.6699 0.6669 0.1276
0.9968 0.3298 0.1278
0.3331 0.0020 0.1271
```

***

# 2
This record from Materials Project describes a relaxed structure of Nb2Tl4Se11. The functional is r2SCAN.

Computed properties:
Theoretical density: 6.2 g cm⁻³
Formation enthalpy at 0 K: -579 meV per atom
Spin magnetization: 0.0 μB/cell
Final energy: -858.90 eV per cell

Geometry as POSCAR:
```
Nb2Tl4Se11
1.0
2.8611 1.8100 7.3848
6.5042 -6.4337 -1.6755
4.9007 12.1958 -4.7111
Nb Tl Se
4 8 22
Direct
0.1219 0.6328 0.3037
0.8781 0.3672 0.6963
0.3364 0.8922 0.1880
0.6636 0.1078 0.8120
0.5064 0.7234 0.8880
0.7628 0.4156 0.4186
0.7881 0.9778 0.4259
0.2119 0.0222 0.5741
0.4936 0.2766 0.1120
0.2372 0.5844 0.5814
0.0526 0.2393 0.9821
0.9474 0.7607 0.0179
0.0527 0.3422 0.2480
0.5984 0.0794 0.2493
0.3913 0.8175 0.3725
0.5448 0.6907 0.1182
0.3477 0.1424 0.3340
0.4552 0.3093 0.8818
0.2653 0.5986 0.1093
0.6002 0.4443 0.6483
0.2703 0.9630 0.0393
0.1193 0.5103 0.8154
0.0289 0.8678 0.2488
0.9711 0.1322 0.7512
0.7347 0.4014 0.8907
0.7297 0.0370 0.9607
0.9473 0.6578 0.7520
0.4016 0.9206 0.7507
0.6087 0.1825 0.6275
0.6523 0.8576 0.6660
0.3998 0.5557 0.3517
0.8807 0.4897 0.1846
0.9818 0.7107 0.4661
0.0182 0.2893 0.5339
```